A relaxed Na3ErV2O8 crystal, computed with GGA+U.

Properties
- final energy (eV per atom) = -6.7950
- M_tot (μB per formula unit) = 0.00
- formation energy (meV per atom) = -2696

Geometry as CIF:
```
data_Na3ErV2O8
_symmetry_space_group_name_H-M 'P 1 21/c 1'
_symmetry_Int_Tables_number 14
_cell_length_a 5.575
_cell_length_b 9.848
_cell_length_c 8.923
_cell_angle_alpha 90.00
_cell_angle_beta 125.40
_cell_angle_gamma 90.00
loop_
_symmetry_equiv_pos_as_xyz
'x,y,z'
'-x,-y,-z'
'-x,y+1/2,-z+1/2'
'x,-y+1/2,z+1/2'
loop_
_atom_site_label
_atom_site_fract_x
_atom_site_fract_y
_atom_site_fract_z
_atom_site_occupancy
Na1 0.000 0.000 0.000 1
Na2 0.302 0.143 0.792 1
Er1 0.500 0.000 0.500 1
V1 0.206 0.682 0.223 1
O1 0.140 0.131 0.468 1
O2 0.199 0.641 0.759 1
O3 0.268 0.598 0.408 1
O4 0.485 0.636 0.196 1
```